No. 1
Material: Sm4Si3Pd4
Method: DFT, PBE
State: relaxed

The formation energy comes out at -0.893 eV/atom.

a = 11.0227 Å, b = 11.0227 Å, c = 7.9274 Å
α = 108.26°, β = 108.26°, γ = 29.46°
With the nearest neighbours (Å) after each atom.
Atoms (fractional coordinates):
Sm: 0.0659 0.7983 0.8289  4 Si 3.03-3.39, 5 Pd 3.04-3.15
Sm: 0.2017 0.9341 0.6711  4 Si 3.03-3.39, 5 Pd 3.04-3.15
Sm: 0.2053 0.4545 0.1031  3 Si 3.03-3.10, 7 Pd 3.04-3.34
Sm: 0.4545 0.2053 0.6031  3 Si 3.03-3.10, 7 Pd 3.04-3.34
Sm: 0.5455 0.7947 0.3969  3 Si 3.03-3.10, 7 Pd 3.04-3.34
Sm: 0.7947 0.5455 0.8969  3 Si 3.03-3.10, 7 Pd 3.04-3.34
Sm: 0.7983 0.0659 0.3289  4 Si 3.03-3.39, 5 Pd 3.04-3.15
Sm: 0.9341 0.2017 0.1711  4 Si 3.03-3.39, 5 Pd 3.04-3.15
Si: 0.0511 0.2919 0.5509  4 Pd 2.44-2.58
Si: 0.2919 0.0511 0.0509  4 Pd 2.44-2.58
Si: 0.3480 0.6520 0.2500  4 Pd 2.66-2.67
Si: 0.6520 0.3480 0.7500  4 Pd 2.66-2.67
Si: 0.7081 0.9489 0.9491  4 Pd 2.44-2.58
Si: 0.9489 0.7081 0.4491  4 Pd 2.44-2.58
Pd: 0.0848 0.3631 0.3053  3 Si 2.44-2.54
Pd: 0.3022 0.5646 0.4813  3 Si 2.58-2.67
Pd: 0.3631 0.0848 0.8053  3 Si 2.44-2.54
Pd: 0.4354 0.6978 0.0187  3 Si 2.58-2.67
Pd: 0.5646 0.3022 0.9813  3 Si 2.58-2.67
Pd: 0.6369 0.9152 0.1947  3 Si 2.44-2.54
Pd: 0.6978 0.4354 0.5187  3 Si 2.58-2.67
Pd: 0.9152 0.6369 0.6947  3 Si 2.44-2.54


No. 2
Material: AlAsO6
Method: DFT, PBE
State: relaxed

The calculation puts the corrected total energy (MP2020 scheme) at -0.44996 Ry/atom. The formation energy comes out at -1.361 eV/atom.

a = 8.8925 Å, b = 10.0137 Å, c = 10.0543 Å
α = 90.00°, β = 90.00°, γ = 90.00°
With the nearest neighbours (Å) after each atom.
Atoms (fractional coordinates):
Al: 0.1414 0.1883 0.1272  6 O 1.82-1.95
Al: 0.1414 0.3117 0.6272  6 O 1.82-1.95
Al: 0.3586 0.6883 0.1272  6 O 1.82-1.95
Al: 0.3586 0.8117 0.6272  6 O 1.82-1.95
Al: 0.6414 0.1883 0.3728  6 O 1.82-1.95
Al: 0.6414 0.3117 0.8728  6 O 1.82-1.95
Al: 0.8586 0.6883 0.3728  6 O 1.82-1.95
Al: 0.8586 0.8117 0.8728  6 O 1.82-1.95
As: 0.0408 0.6359 0.6613  4 O 1.69-1.74
As: 0.0408 0.8641 0.1613  4 O 1.69-1.74
As: 0.4592 0.1359 0.6613  4 O 1.69-1.74
As: 0.4592 0.3641 0.1613  4 O 1.69-1.74
As: 0.5408 0.6359 0.8387  4 O 1.69-1.74
As: 0.5408 0.8641 0.3387  4 O 1.69-1.74
As: 0.9592 0.1359 0.8387  4 O 1.69-1.74
As: 0.9592 0.3641 0.3387  4 O 1.69-1.74
O: 0.0087 0.7030 0.8131  1 As 1.69, 1 Al 1.82
O: 0.0087 0.7970 0.3131  1 As 1.69, 1 Al 1.82
O: 0.0245 0.0349 0.1699  1 As 1.72, 1 Al 1.90
O: 0.0245 0.4651 0.6699  1 As 1.72, 1 Al 1.90
O: 0.0972 0.1941 0.9463  1 As 1.74, 1 Al 1.86
O: 0.0972 0.3059 0.4463  1 As 1.74, 1 Al 1.86
O: 0.2002 0.5771 0.0517  1 Al 1.95
O: 0.2002 0.9229 0.5517  1 Al 1.95
O: 0.2156 0.6758 0.6027  1 As 1.71, 1 Al 1.88
O: 0.2156 0.8242 0.1027  1 As 1.71, 1 Al 1.88
O: 0.2194 0.1291 0.2947  1 Al 1.92
O: 0.2194 0.3709 0.7947  1 Al 1.92
O: 0.2806 0.6291 0.2947  1 Al 1.92
O: 0.2806 0.8709 0.7947  1 Al 1.92
O: 0.2844 0.1758 0.6027  1 As 1.71, 1 Al 1.88
O: 0.2844 0.3242 0.1027  1 As 1.71, 1 Al 1.88
O: 0.2998 0.0771 0.0517  1 Al 1.95
O: 0.2998 0.4229 0.5517  1 Al 1.95
O: 0.4028 0.6941 0.9463  1 As 1.74, 1 Al 1.86
O: 0.4028 0.8059 0.4463  1 As 1.74, 1 Al 1.86
O: 0.4755 0.5349 0.1699  1 As 1.72, 1 Al 1.90
O: 0.4755 0.9651 0.6699  1 As 1.72, 1 Al 1.90
O: 0.4913 0.2030 0.8131  1 As 1.69, 1 Al 1.82
O: 0.4913 0.2970 0.3131  1 As 1.69, 1 Al 1.82
O: 0.5087 0.7030 0.6869  1 As 1.69, 1 Al 1.82
O: 0.5087 0.7970 0.1869  1 As 1.69, 1 Al 1.82
O: 0.5245 0.0349 0.3301  1 As 1.72, 1 Al 1.90
O: 0.5245 0.4651 0.8301  1 As 1.72, 1 Al 1.90
O: 0.5972 0.1941 0.5537  1 As 1.74, 1 Al 1.86
O: 0.5972 0.3059 0.0537  1 As 1.74, 1 Al 1.86
O: 0.7002 0.5771 0.4483  1 Al 1.95
O: 0.7002 0.9229 0.9483  1 Al 1.95
O: 0.7156 0.6758 0.8973  1 As 1.71, 1 Al 1.88
O: 0.7156 0.8242 0.3973  1 As 1.71, 1 Al 1.88
O: 0.7194 0.1291 0.2053  1 Al 1.92
O: 0.7194 0.3709 0.7053  1 Al 1.92
O: 0.7806 0.6291 0.2053  1 Al 1.92
O: 0.7806 0.8709 0.7053  1 Al 1.92
O: 0.7844 0.1758 0.8973  1 As 1.71, 1 Al 1.88
O: 0.7844 0.3242 0.3973  1 As 1.71, 1 Al 1.88
O: 0.7998 0.0771 0.4483  1 Al 1.95
O: 0.7998 0.4229 0.9483  1 Al 1.95
O: 0.9028 0.6941 0.5537  1 As 1.74, 1 Al 1.86
O: 0.9028 0.8059 0.0537  1 As 1.74, 1 Al 1.86
O: 0.9755 0.5349 0.3301  1 As 1.72, 1 Al 1.90
O: 0.9755 0.9651 0.8301  1 As 1.72, 1 Al 1.90
O: 0.9913 0.2030 0.6869  1 As 1.69, 1 Al 1.82
O: 0.9913 0.2970 0.1869  1 As 1.69, 1 Al 1.82


No. 3
Material: Na4MgAlP3O12
Method: DFT, PBE
State: relaxed

The calculation puts the corrected total energy (MP2020 scheme) at -0.50806 Ry/atom. The formation energy comes out at -2.805 eV/atom.

a = 8.8114 Å, b = 8.8114 Å, c = 21.5444 Å
α = 90.00°, β = 90.00°, γ = 120.00°
With the nearest neighbours (Å) after each atom.
Atoms (fractional coordinates):
Na: 0.6370 0.0055 0.2492  6 O 2.39-2.64
Na: 0.3685 0.3630 0.2492  6 O 2.39-2.64
Na: 0.9945 0.6315 0.2492  6 O 2.39-2.64
Na: 0.6370 0.6315 0.7492  6 O 2.39-2.64
Na: 0.9945 0.3630 0.7492  6 O 2.39-2.64
Na: 0.3685 0.0055 0.7492  6 O 2.39-2.64
Na: 0.3037 0.3389 0.5825  6 O 2.39-2.64
Na: 0.0352 0.6963 0.5825  6 O 2.39-2.64
Na: 0.6611 0.9648 0.5825  6 O 2.39-2.64
Na: 0.3037 0.9648 0.0825  6 O 2.39-2.64
Na: 0.6611 0.6963 0.0825  6 O 2.39-2.64
Na: 0.0352 0.3389 0.0825  6 O 2.39-2.64
Na: 0.9704 0.6722 0.9158  6 O 2.39-2.64
Na: 0.7019 0.0296 0.9158  6 O 2.39-2.64
Na: 0.3278 0.2981 0.9158  6 O 2.39-2.64
Na: 0.9704 0.2981 0.4158  6 O 2.39-2.64
Na: 0.3278 0.0296 0.4158  6 O 2.39-2.64
Na: 0.7019 0.6722 0.4158  6 O 2.39-2.64
Na: 0.0000 0.0000 0.4984  6 O 2.49
Na: 0.0000 0.0000 0.9984  6 O 2.49
Na: 0.6667 0.3333 0.8318  6 O 2.49
Na: 0.6667 0.3333 0.3318  6 O 2.49
Na: 0.3333 0.6667 0.1651  6 O 2.49
Na: 0.3333 0.6667 0.6651  6 O 2.49
Mg: 0.0000 0.0000 0.3506  6 O 1.98-2.08
Mg: 0.0000 0.0000 0.8506  6 O 1.98-2.08
Mg: 0.6667 0.3333 0.6840  6 O 1.98-2.08
Mg: 0.6667 0.3333 0.1840  6 O 1.98-2.08
Mg: 0.3333 0.6667 0.0173  6 O 1.98-2.08
Mg: 0.3333 0.6667 0.5173  6 O 1.98-2.08
Al: 0.0000 0.0000 0.6502  6 O 1.92-2.02
Al: 0.0000 0.0000 0.1502  6 O 1.92-2.02
Al: 0.6667 0.3333 0.9835  6 O 1.92-2.02
Al: 0.6667 0.3333 0.4835  6 O 1.92-2.02
Al: 0.3333 0.6667 0.3169  6 O 1.92-2.02
Al: 0.3333 0.6667 0.8169  6 O 1.92-2.02
P: 0.2904 0.9954 0.2506  4 O 1.52-1.58
P: 0.7051 0.7096 0.2506  4 O 1.52-1.58
P: 0.0046 0.2949 0.2506  4 O 1.52-1.58
P: 0.2904 0.2949 0.7506  4 O 1.52-1.58
P: 0.0046 0.7096 0.7506  4 O 1.52-1.58
P: 0.7051 0.9954 0.7506  4 O 1.52-1.58
P: 0.9570 0.3288 0.5839  4 O 1.52-1.58
P: 0.3718 0.0430 0.5839  4 O 1.52-1.58
P: 0.6712 0.6282 0.5839  4 O 1.52-1.58
P: 0.9570 0.6282 0.0839  4 O 1.52-1.58
P: 0.6712 0.0430 0.0839  4 O 1.52-1.58
P: 0.3718 0.3288 0.0839  4 O 1.52-1.58
P: 0.6237 0.6621 0.9172  4 O 1.52-1.58
P: 0.0384 0.3763 0.9172  4 O 1.52-1.58
P: 0.3379 0.9616 0.9172  4 O 1.52-1.58
P: 0.6237 0.9616 0.4172  4 O 1.52-1.58
P: 0.3379 0.3763 0.4172  4 O 1.52-1.58
P: 0.0384 0.6621 0.4172  4 O 1.52-1.58
O: 0.2127 0.0307 0.3081  1 P 1.52
O: 0.8180 0.7873 0.3081  1 P 1.52
O: 0.9693 0.1820 0.3081  1 P 1.52
O: 0.2127 0.1820 0.8081  1 P 1.52
O: 0.9693 0.7873 0.8081  1 P 1.52
O: 0.8180 0.0307 0.8081  1 P 1.52
O: 0.7924 0.9621 0.6925  1 P 1.57
O: 0.1697 0.2076 0.6925  1 P 1.57
O: 0.0379 0.8303 0.6925  1 P 1.57
O: 0.7924 0.8303 0.1925  1 P 1.57
O: 0.0379 0.2076 0.1925  1 P 1.57
O: 0.1697 0.9621 0.1925  1 P 1.57
O: 0.8794 0.3640 0.6414  1 P 1.52
O: 0.4847 0.1206 0.6414  1 P 1.52
O: 0.6360 0.5153 0.6414  1 P 1.52
O: 0.8794 0.5153 0.1414  1 P 1.52
O: 0.6360 0.1206 0.1414  1 P 1.52
O: 0.4847 0.3640 0.1414  1 P 1.52
O: 0.4591 0.2955 0.0258  1 P 1.57
O: 0.8364 0.5409 0.0258  1 P 1.57
O: 0.7045 0.1636 0.0258  1 P 1.57
O: 0.4591 0.1636 0.5258  1 P 1.57
O: 0.7045 0.5409 0.5258  1 P 1.57
O: 0.8364 0.2955 0.5258  1 P 1.57
O: 0.5460 0.6974 0.9747  1 P 1.52
O: 0.1513 0.4540 0.9747  1 P 1.52
O: 0.3026 0.8487 0.9747  1 P 1.52
O: 0.5460 0.8487 0.4747  1 P 1.52
O: 0.3026 0.4540 0.4747  1 P 1.52
O: 0.1513 0.6974 0.4747  1 P 1.52
O: 0.1257 0.6288 0.3591  1 P 1.57
O: 0.5031 0.8743 0.3591  1 P 1.57
O: 0.3712 0.4969 0.3591  1 P 1.57
O: 0.1257 0.4969 0.8591  1 P 1.57
O: 0.3712 0.8743 0.8591  1 P 1.57
O: 0.5031 0.6288 0.8591  1 P 1.57
O: 0.0146 0.8236 0.4108  1 P 1.54
O: 0.8090 0.9854 0.4108  1 P 1.54
O: 0.1764 0.1910 0.4108  1 P 1.54
O: 0.0146 0.1910 0.9108  1 P 1.54
O: 0.1764 0.9854 0.9108  1 P 1.54
O: 0.8090 0.8236 0.9108  1 P 1.54
O: 0.9718 0.1583 0.5892  1 P 1.58
O: 0.1865 0.0282 0.5892  1 P 1.58
O: 0.8417 0.8135 0.5892  1 P 1.58
O: 0.9718 0.8135 0.0892  1 P 1.58
O: 0.8417 0.0282 0.0892  1 P 1.58
O: 0.1865 0.1583 0.0892  1 P 1.58
O: 0.6813 0.1569 0.7441  1 P 1.54
O: 0.4756 0.3187 0.7441  1 P 1.54
O: 0.8431 0.5244 0.7441  1 P 1.54
O: 0.6813 0.5244 0.2441  1 P 1.54
O: 0.8431 0.3187 0.2441  1 P 1.54
O: 0.4756 0.1569 0.2441  1 P 1.54
O: 0.6385 0.4917 0.9225  1 P 1.58
O: 0.8532 0.3615 0.9225  1 P 1.58
O: 0.5083 0.1468 0.9225  1 P 1.58
O: 0.6385 0.1468 0.4225  1 P 1.58
O: 0.5083 0.3615 0.4225  1 P 1.58
O: 0.8532 0.4917 0.4225  1 P 1.58
O: 0.3479 0.4902 0.0774  1 P 1.54
O: 0.1423 0.6521 0.0774  1 P 1.54
O: 0.5098 0.8577 0.0774  1 P 1.54
O: 0.3479 0.8577 0.5774  1 P 1.54
O: 0.5098 0.6521 0.5774  1 P 1.54
O: 0.1423 0.4902 0.5774  1 P 1.54
O: 0.3051 0.8250 0.2559  1 P 1.58
O: 0.5199 0.6949 0.2559  1 P 1.58
O: 0.1750 0.4801 0.2559  1 P 1.58
O: 0.3051 0.4801 0.7559  1 P 1.58
O: 0.1750 0.6949 0.7559  1 P 1.58
O: 0.5199 0.8250 0.7559  1 P 1.58


No. 4
Material: MnBe2Rh
Method: DFT, PBE
State: relaxed

The formation energy comes out at -0.415 eV/atom.

a = 3.9207 Å, b = 3.9207 Å, c = 3.9207 Å
α = 60.00°, β = 60.00°, γ = 60.00°
With the nearest neighbours (Å) after each atom.
Atoms (fractional coordinates):
Mn: 0.0000 0.0000 0.0000  8 Be 2.40
Be: 0.2500 0.2500 0.2500  4 Rh 2.40, 4 Mn 2.40
Be: 0.7500 0.7500 0.7500  4 Rh 2.40, 4 Mn 2.40
Rh: 0.5000 0.5000 0.5000  8 Be 2.40


No. 5
Material: MgSi6O12
Method: DFT, PBE
State: relaxed

The calculation puts the corrected total energy (MP2020 scheme) at -0.58315 Ry/atom. Its distance to the lowest polymorph of the same formula is 0 meV/atom. The formation energy comes out at -3.012 eV/atom.

a = 5.0584 Å, b = 7.4846 Å, c = 7.8995 Å
α = 73.17°, β = 74.36°, γ = 70.91°
With the nearest neighbours (Å) after each atom.
Atoms (fractional coordinates):
Mg: 0.0000 0.0000 0.0000  2 O 1.88-2.05
Si: 0.2156 0.9249 0.6167  4 O 1.61-1.68
Si: 0.4814 0.0052 0.2263  4 O 1.56-1.69
Si: 0.5577 0.4266 0.0915  4 O 1.61-1.65
Si: 0.5634 0.5002 0.6801  4 O 1.62-1.67
Si: 0.6178 0.0637 0.7777  3 O 1.70-1.82
Si: 0.8966 0.5809 0.2788  4 O 1.61-1.66
O: 0.2298 0.0031 0.1494  1 Si 1.56
O: 0.2351 0.5278 0.1870  2 Si 1.63
O: 0.2918 0.6892 0.6500  2 Si 1.63
O: 0.3154 0.9841 0.7751  2 Si 1.68-1.82
O: 0.4099 0.0155 0.4356  2 Si 1.61
O: 0.4721 0.3050 0.7030  2 Si 1.62-1.70
O: 0.6267 0.1900 0.1256  2 Si 1.64-1.67
O: 0.6434 0.4994 0.8714  2 Si 1.65-1.66
O: 0.7637 0.4691 0.1899  2 Si 1.61
O: 0.7772 0.8177 0.2030  2 Si 1.66-1.69
O: 0.8220 0.5256 0.4996  2 Si 1.64-1.67
O: 0.8805 0.0084 0.6001  2 Si 1.63-1.70